First-principles (meta-GGA r2SCAN) data for crystalline SmBO3 at its relaxed geometry, as listed in Materials Project.

Output
formation energy = -3338 meV/atom
calculated density = 5.90 g/cm3

Cell: 6.2386 6.4901 6.4945 Å, 93.08 107.93 107.56°
Last column: nearest neighbours and their distance in Å.
Element x y z (fractional)
Sm: 0.0585 0.3457 0.2712  6 O 2.28-2.50
Sm: 0.4380 0.2179 0.8135  7 O 2.29-2.53
Sm: 0.5620 0.7821 0.1865  7 O 2.29-2.53
Sm: 0.9415 0.6543 0.7288  6 O 2.28-2.50
B: 0.0228 0.7867 0.2403  3 O 1.36-1.40
B: 0.4904 0.2710 0.2766  3 O 1.35-1.40
B: 0.5096 0.7290 0.7234  3 O 1.35-1.40
B: 0.9772 0.2133 0.7597  3 O 1.36-1.40
O: 0.0303 0.0254 0.7707  1 B 1.36
O: 0.0896 0.3634 0.6466  1 B 1.40
O: 0.1501 0.7176 0.1281  1 B 1.38
O: 0.3746 0.3841 0.1278  1 B 1.40
O: 0.3782 0.8345 0.7967  1 B 1.38
O: 0.4545 0.2664 0.4715  1 B 1.35
O: 0.5455 0.7336 0.5285  1 B 1.35
O: 0.6218 0.1655 0.2033  1 B 1.38
O: 0.6254 0.6159 0.8722  1 B 1.40
O: 0.8499 0.2824 0.8719  1 B 1.38
O: 0.9104 0.6366 0.3534  1 B 1.40
O: 0.9697 0.9746 0.2293  1 B 1.36



First-principles (meta-GGA r2SCAN) data for crystalline Sr4B14O25 at its relaxed geometry, as listed in Materials Project.

Output
formation energy = -2834 meV/atom
calculated density = 3.22 g/cm3

Cell: 9.0456 9.0456 14.6452 Å, 90.00 90.00 129.10°
Last column: nearest neighbours and their distance in Å.
Element x y z (fractional)
Sr: 0.0547 0.9453 0.5000  4 O 2.50-2.56
Sr: 0.1774 0.8226 0.8199  6 O 2.49-2.64
Sr: 0.1942 0.8058 0.2329  5 O 2.40-2.66
Sr: 0.4320 0.5680 0.4143  7 O 2.52-2.79
Sr: 0.5680 0.4320 0.9143  7 O 2.52-2.79
Sr: 0.8058 0.1942 0.7329  5 O 2.40-2.66
Sr: 0.8226 0.1774 0.3199  6 O 2.49-2.64
Sr: 0.9453 0.0547 0.0000  4 O 2.50-2.56
B: 0.0131 0.4484 0.1002  3 O 1.37-1.38
B: 0.0224 0.3288 0.5217  4 O 1.45-1.50
B: 0.0659 0.5972 0.4342  4 O 1.44-1.54
B: 0.1667 0.1761 0.7879  4 O 1.43-1.52
B: 0.1761 0.1667 0.2879  4 O 1.43-1.52
B: 0.2174 0.4527 0.8632  3 O 1.36-1.38
B: 0.2230 0.2816 0.6275  3 O 1.36-1.38
B: 0.2274 0.4375 0.1985  4 O 1.44-1.53
B: 0.2816 0.2230 0.1275  3 O 1.36-1.38
B: 0.3288 0.0224 0.0217  4 O 1.45-1.50
B: 0.4028 0.9341 0.4342  4 O 1.44-1.54
B: 0.4375 0.2274 0.6985  4 O 1.44-1.53
B: 0.4484 0.0131 0.6002  3 O 1.37-1.38
B: 0.4527 0.2174 0.3632  3 O 1.36-1.38
B: 0.5473 0.7826 0.8632  3 O 1.36-1.38
B: 0.5516 0.9869 0.1002  3 O 1.37-1.38
B: 0.5625 0.7726 0.1985  4 O 1.44-1.53
B: 0.5972 0.0659 0.9342  4 O 1.44-1.54
B: 0.6712 0.9776 0.5217  4 O 1.45-1.50
B: 0.7184 0.7770 0.6275  3 O 1.36-1.38
B: 0.7726 0.5625 0.6985  4 O 1.44-1.53
B: 0.7770 0.7184 0.1275  3 O 1.36-1.38
B: 0.7826 0.5473 0.3632  3 O 1.36-1.38
B: 0.8239 0.8333 0.7879  4 O 1.43-1.52
B: 0.8333 0.8239 0.2879  4 O 1.43-1.52
B: 0.9341 0.4028 0.9342  4 O 1.44-1.54
B: 0.9776 0.6712 0.0217  4 O 1.45-1.50
B: 0.9869 0.5516 0.6002  3 O 1.37-1.38
O: 0.0056 0.6357 0.5188  2 B 1.37-1.48
O: 0.0099 0.5974 0.1023  2 B 1.37-1.47
O: 0.0263 0.9737 0.7980  2 B 1.43
O: 0.0330 0.3859 0.1818  2 B 1.38-1.53
O: 0.1018 0.4998 0.8670  1 B 1.36
O: 0.1068 0.4691 0.4478  2 B 1.44-1.46
O: 0.1302 0.2524 0.7080  2 B 1.37-1.50
O: 0.1478 0.8522 0.9890  2 B 1.45
O: 0.1506 0.2680 0.8704  2 B 1.38-1.52
O: 0.1698 0.3082 0.5449  2 B 1.38-1.50
O: 0.2235 0.7765 0.3936  2 B 1.45
O: 0.2246 0.3525 0.2841  2 B 1.45-1.46
O: 0.2524 0.1302 0.2080  2 B 1.37-1.50
O: 0.2611 0.3588 0.1207  2 B 1.36-1.47
O: 0.2680 0.1506 0.3704  2 B 1.38-1.52
O: 0.3082 0.1698 0.0449  2 B 1.38-1.50
O: 0.3525 0.2246 0.7841  2 B 1.45-1.46
O: 0.3571 0.6429 0.2028  2 B 1.44
O: 0.3588 0.2611 0.6207  2 B 1.36-1.47
O: 0.3643 0.9944 0.5188  2 B 1.37-1.48
O: 0.3859 0.0330 0.6818  2 B 1.38-1.53
O: 0.4026 0.9901 0.1023  2 B 1.37-1.47
O: 0.4127 0.5873 0.8528  2 B 1.38
O: 0.4691 0.1068 0.9478  2 B 1.44-1.46
O: 0.4998 0.1018 0.3670  1 B 1.36
O: 0.5002 0.8982 0.8670  1 B 1.36
O: 0.5309 0.8932 0.4478  2 B 1.44-1.46
O: 0.5873 0.4127 0.3528  2 B 1.38
O: 0.5974 0.0099 0.6023  2 B 1.37-1.47
O: 0.6141 0.9670 0.1818  2 B 1.38-1.53
O: 0.6357 0.0056 0.0188  2 B 1.37-1.48
O: 0.6412 0.7389 0.1207  2 B 1.36-1.47
O: 0.6429 0.3571 0.7028  2 B 1.44
O: 0.6475 0.7754 0.2841  2 B 1.45-1.46
O: 0.6918 0.8302 0.5449  2 B 1.38-1.50
O: 0.7320 0.8494 0.8704  2 B 1.38-1.52
O: 0.7389 0.6412 0.6207  2 B 1.36-1.47
O: 0.7476 0.8698 0.7080  2 B 1.37-1.50
O: 0.7754 0.6475 0.7841  2 B 1.45-1.46
O: 0.7765 0.2235 0.8936  2 B 1.45
O: 0.8302 0.6918 0.0449  2 B 1.38-1.50
O: 0.8494 0.7320 0.3704  2 B 1.38-1.52
O: 0.8522 0.1478 0.4890  2 B 1.45
O: 0.8698 0.7476 0.2080  2 B 1.37-1.50
O: 0.8932 0.5309 0.9478  2 B 1.44-1.46
O: 0.8982 0.5002 0.3670  1 B 1.36
O: 0.9670 0.6141 0.6818  2 B 1.38-1.53
O: 0.9737 0.0263 0.2980  2 B 1.43
O: 0.9901 0.4026 0.6023  2 B 1.37-1.47
O: 0.9944 0.3643 0.0188  2 B 1.37-1.48



First-principles (meta-GGA r2SCAN) data for crystalline TlB5O8 at its relaxed geometry, as listed in Materials Project.

Output
formation energy = -2431 meV/atom
calculated density = 3.86 g/cm3

Cell: 7.5243 11.9613 14.7691 Å, 90.00 90.00 90.00°
Last column: nearest neighbours and their distance in Å.
Element x y z (fractional)
Tl: 0.0708 0.2070 0.1218  8 O 2.89-3.18
Tl: 0.0708 0.2930 0.6218  8 O 2.89-3.18
Tl: 0.4292 0.7070 0.1218  8 O 2.89-3.18
Tl: 0.4292 0.7930 0.6218  8 O 2.89-3.18
Tl: 0.5708 0.2070 0.3782  8 O 2.89-3.18
Tl: 0.5708 0.2930 0.8782  8 O 2.89-3.18
Tl: 0.9292 0.7070 0.3782  8 O 2.89-3.18
Tl: 0.9292 0.7930 0.8782  8 O 2.89-3.18
B: 0.0261 0.5256 0.1558  3 O 1.35-1.39
B: 0.0261 0.9744 0.6558  3 O 1.35-1.39
B: 0.0450 0.2247 0.3733  4 O 1.46-1.48
B: 0.0450 0.2753 0.8733  4 O 1.46-1.48
B: 0.0825 0.1013 0.7862  3 O 1.35-1.39
B: 0.0825 0.3987 0.2862  3 O 1.35-1.39
B: 0.0952 0.5942 0.5817  3 O 1.35-1.39
B: 0.0952 0.9058 0.0817  3 O 1.35-1.39
B: 0.1911 0.0688 0.4558  3 O 1.35-1.39
B: 0.1911 0.4312 0.9558  3 O 1.35-1.39
B: 0.3089 0.5688 0.4558  3 O 1.35-1.39
B: 0.3089 0.9312 0.9558  3 O 1.35-1.39
B: 0.4048 0.0942 0.5817  3 O 1.35-1.39
B: 0.4048 0.4058 0.0817  3 O 1.35-1.39
B: 0.4175 0.6013 0.7862  3 O 1.35-1.39
B: 0.4175 0.8987 0.2862  3 O 1.35-1.39
B: 0.4550 0.7247 0.3733  4 O 1.46-1.48
B: 0.4550 0.7753 0.8733  4 O 1.46-1.48
B: 0.4739 0.0256 0.1558  3 O 1.35-1.39
B: 0.4739 0.4744 0.6558  3 O 1.35-1.39
B: 0.5261 0.5256 0.3442  3 O 1.35-1.39
B: 0.5261 0.9744 0.8442  3 O 1.35-1.39
B: 0.5450 0.2247 0.1267  4 O 1.46-1.48
B: 0.5450 0.2753 0.6267  4 O 1.46-1.48
B: 0.5825 0.1013 0.7138  3 O 1.35-1.39
B: 0.5825 0.3987 0.2138  3 O 1.35-1.39
B: 0.5952 0.5942 0.9183  3 O 1.35-1.39
B: 0.5952 0.9058 0.4183  3 O 1.35-1.39
B: 0.6911 0.0688 0.0442  3 O 1.35-1.39
B: 0.6911 0.4312 0.5442  3 O 1.35-1.39
B: 0.8089 0.5688 0.0442  3 O 1.35-1.39
B: 0.8089 0.9312 0.5442  3 O 1.35-1.39
B: 0.9048 0.0942 0.9183  3 O 1.35-1.39
B: 0.9048 0.4058 0.4183  3 O 1.35-1.39
B: 0.9175 0.6013 0.7138  3 O 1.35-1.39
B: 0.9175 0.8987 0.2138  3 O 1.35-1.39
B: 0.9550 0.7247 0.1267  4 O 1.46-1.48
B: 0.9550 0.7753 0.6267  4 O 1.46-1.48
B: 0.9739 0.0256 0.3442  3 O 1.35-1.39
B: 0.9739 0.4744 0.8442  3 O 1.35-1.39
O: 0.0086 0.5372 0.6506  2 B 1.39
O: 0.0086 0.9628 0.1506  2 B 1.39
O: 0.0573 0.6346 0.1715  2 B 1.35-1.48
O: 0.0573 0.8654 0.6715  2 B 1.35-1.48
O: 0.0791 0.7060 0.5736  2 B 1.35-1.47
O: 0.0791 0.7940 0.0736  2 B 1.35-1.47
O: 0.0954 0.5110 0.9083  2 B 1.39
O: 0.0954 0.9890 0.4083  2 B 1.39
O: 0.1154 0.0575 0.7024  2 B 1.37-1.38
O: 0.1154 0.4425 0.2024  2 B 1.37-1.38
O: 0.1308 0.2081 0.8026  2 B 1.35-1.47
O: 0.1308 0.2919 0.3026  2 B 1.35-1.47
O: 0.1775 0.1782 0.4351  2 B 1.35-1.46
O: 0.1775 0.3218 0.9351  2 B 1.35-1.46
O: 0.1984 0.5306 0.5240  2 B 1.38
O: 0.1984 0.9694 0.0240  2 B 1.38
O: 0.3016 0.0306 0.5240  2 B 1.38
O: 0.3016 0.4694 0.0240  2 B 1.38
O: 0.3225 0.6782 0.4351  2 B 1.35-1.46
O: 0.3225 0.8218 0.9351  2 B 1.35-1.46
O: 0.3692 0.7081 0.8026  2 B 1.35-1.47
O: 0.3692 0.7919 0.3026  2 B 1.35-1.47
O: 0.3846 0.5575 0.7024  2 B 1.37-1.38
O: 0.3846 0.9425 0.2024  2 B 1.37-1.38
O: 0.4046 0.0110 0.9083  2 B 1.39
O: 0.4046 0.4890 0.4083  2 B 1.39
O: 0.4209 0.2060 0.5736  2 B 1.35-1.47
O: 0.4209 0.2940 0.0736  2 B 1.35-1.47
O: 0.4427 0.1346 0.1715  2 B 1.35-1.48
O: 0.4427 0.3654 0.6715  2 B 1.35-1.48
O: 0.4914 0.0372 0.6506  2 B 1.39
O: 0.4914 0.4628 0.1506  2 B 1.39
O: 0.5086 0.5372 0.8494  2 B 1.39
O: 0.5086 0.9628 0.3494  2 B 1.39
O: 0.5573 0.6346 0.3285  2 B 1.35-1.48
O: 0.5573 0.8654 0.8285  2 B 1.35-1.48
O: 0.5791 0.7060 0.9264  2 B 1.35-1.47
O: 0.5791 0.7940 0.4264  2 B 1.35-1.47
O: 0.5954 0.5110 0.5917  2 B 1.39
O: 0.5954 0.9890 0.0917  2 B 1.39
O: 0.6154 0.0575 0.7976  2 B 1.37-1.38
O: 0.6154 0.4425 0.2976  2 B 1.37-1.38
O: 0.6308 0.2081 0.6974  2 B 1.35-1.47
O: 0.6308 0.2919 0.1974  2 B 1.35-1.47
O: 0.6775 0.1782 0.0649  2 B 1.35-1.46
O: 0.6775 0.3218 0.5649  2 B 1.35-1.46
O: 0.6984 0.5306 0.9760  2 B 1.38
O: 0.6984 0.9694 0.4760  2 B 1.38
O: 0.8016 0.0306 0.9760  2 B 1.38
O: 0.8016 0.4694 0.4760  2 B 1.38
O: 0.8225 0.6782 0.0649  2 B 1.35-1.46
O: 0.8225 0.8218 0.5649  2 B 1.35-1.46
O: 0.8692 0.7081 0.6974  2 B 1.35-1.47
O: 0.8692 0.7919 0.1974  2 B 1.35-1.47
O: 0.8846 0.5575 0.7976  2 B 1.37-1.38
O: 0.8846 0.9425 0.2976  2 B 1.37-1.38
O: 0.9046 0.0110 0.5917  2 B 1.39
O: 0.9046 0.4890 0.0917  2 B 1.39
O: 0.9209 0.2060 0.9264  2 B 1.35-1.47
O: 0.9209 0.2940 0.4264  2 B 1.35-1.47
O: 0.9427 0.1346 0.3285  2 B 1.35-1.48
O: 0.9427 0.3654 0.8285  2 B 1.35-1.48
O: 0.9914 0.0372 0.8494  2 B 1.39
O: 0.9914 0.4628 0.3494  2 B 1.39



First-principles (meta-GGA r2SCAN) data for crystalline TlB3O5 at its relaxed geometry, as listed in Materials Project.

Output
formation energy = -2348 meV/atom
calculated density = 4.79 g/cm3

Cell: 5.1660 8.2549 10.2976 Å, 90.00 90.00 90.00°
Last column: nearest neighbours and their distance in Å.
Element x y z (fractional)
Tl: 0.0287 0.2285 0.3712  4 O 2.67-2.87
Tl: 0.4713 0.7715 0.8712  4 O 2.67-2.87
Tl: 0.5287 0.2715 0.6288  4 O 2.67-2.87
Tl: 0.9713 0.7285 0.1288  4 O 2.67-2.87
B: 0.0433 0.9328 0.6916  3 O 1.36-1.39
B: 0.1026 0.1481 0.8539  4 O 1.46-1.49
B: 0.1971 0.6154 0.4595  3 O 1.35-1.40
B: 0.3029 0.3846 0.9595  3 O 1.35-1.40
B: 0.3974 0.8519 0.3539  4 O 1.46-1.49
B: 0.4567 0.0672 0.1916  3 O 1.36-1.39
B: 0.5433 0.5672 0.3084  3 O 1.36-1.39
B: 0.6026 0.3519 0.1461  4 O 1.46-1.49
B: 0.6971 0.8846 0.5405  3 O 1.35-1.40
B: 0.8029 0.1154 0.0405  3 O 1.35-1.40
B: 0.8974 0.6481 0.6461  4 O 1.46-1.49
B: 0.9567 0.4328 0.8084  3 O 1.36-1.39
O: 0.0535 0.5507 0.5562  2 B 1.35-1.47
O: 0.0645 0.7708 0.7113  2 B 1.36-1.49
O: 0.1427 0.4935 0.8924  2 B 1.39-1.40
O: 0.1826 0.7725 0.4204  2 B 1.36-1.46
O: 0.2075 0.0358 0.7559  2 B 1.37-1.47
O: 0.2925 0.9642 0.2559  2 B 1.37-1.47
O: 0.3174 0.2275 0.9204  2 B 1.36-1.46
O: 0.3573 0.5065 0.3924  2 B 1.39-1.40
O: 0.4355 0.2292 0.2113  2 B 1.36-1.49
O: 0.4465 0.4493 0.0562  2 B 1.35-1.47
O: 0.5535 0.9493 0.4438  2 B 1.35-1.47
O: 0.5645 0.7292 0.2887  2 B 1.36-1.49
O: 0.6427 0.0065 0.1076  2 B 1.39-1.40
O: 0.6826 0.7275 0.5796  2 B 1.36-1.46
O: 0.7075 0.4642 0.2441  2 B 1.37-1.47
O: 0.7925 0.5358 0.7441  2 B 1.37-1.47
O: 0.8174 0.2725 0.0796  2 B 1.36-1.46
O: 0.8573 0.9935 0.6076  2 B 1.39-1.40
O: 0.9355 0.2708 0.7887  2 B 1.36-1.49
O: 0.9465 0.0507 0.9438  2 B 1.35-1.47



First-principles (meta-GGA r2SCAN) data for crystalline TlBO2 at its relaxed geometry, as listed in Materials Project.

Output
formation energy = -1979 meV/atom
calculated density = 6.40 g/cm3

Cell: 7.3889 7.3889 9.3931 Å, 90.00 90.00 90.00°
Last column: nearest neighbours and their distance in Å.
Element x y z (fractional)
Tl: 0.0242 0.7409 0.0000  3 O 2.45-2.66
Tl: 0.2591 0.0242 0.2500  3 O 2.45-2.66
Tl: 0.2659 0.2657 0.8397  3 O 2.51-2.79
Tl: 0.2657 0.7341 0.5897  3 O 2.51-2.79
Tl: 0.7343 0.2659 0.0897  3 O 2.51-2.79
Tl: 0.7341 0.7343 0.3397  3 O 2.51-2.79
Tl: 0.7409 0.9758 0.7500  3 O 2.45-2.66
Tl: 0.9758 0.2591 0.5000  3 O 2.45-2.66
B: 0.1353 0.4592 0.2634  3 O 1.35-1.40
B: 0.4052 0.5466 0.1137  4 O 1.45-1.49
B: 0.4534 0.4052 0.3637  4 O 1.45-1.49
B: 0.4592 0.8647 0.0134  3 O 1.35-1.40
B: 0.5408 0.1353 0.5134  3 O 1.35-1.40
B: 0.5466 0.5948 0.8637  4 O 1.45-1.49
B: 0.5948 0.4534 0.6137  4 O 1.45-1.49
B: 0.8647 0.5408 0.7634  3 O 1.35-1.40
O: 0.0442 0.5543 0.7850  1 B 1.35
O: 0.2100 0.5004 0.1319  2 B 1.39-1.49
O: 0.2535 0.4253 0.3763  2 B 1.40-1.49
O: 0.4253 0.7465 0.1263  2 B 1.40-1.49
O: 0.4457 0.0442 0.0350  1 B 1.35
O: 0.4607 0.4852 0.9732  2 B 1.45-1.46
O: 0.4852 0.5393 0.7232  2 B 1.45-1.46
O: 0.4996 0.2100 0.3819  2 B 1.39-1.49
O: 0.5004 0.7900 0.8819  2 B 1.39-1.49
O: 0.5148 0.4607 0.2232  2 B 1.45-1.46
O: 0.5393 0.5148 0.4732  2 B 1.45-1.46
O: 0.5543 0.9558 0.5350  1 B 1.35
O: 0.5747 0.2535 0.6263  2 B 1.40-1.49
O: 0.7465 0.5747 0.8763  2 B 1.40-1.49
O: 0.7900 0.4996 0.6319  2 B 1.39-1.49
O: 0.9558 0.4457 0.2850  1 B 1.35



Going through the records in order, we get volume values of 59, 465, 166, 110, 64 Å³/f.u..